Model w:
Material: MgAl2O4
Method: DFT, PBE-GGA
State: relaxed

Lattice parameters (Å, degrees): 2.821 5.794 5.794 52.88 90.00 90.00
Fractional positions:
Mg 0.000 0.000 0.000
Al 0.000 0.765 0.765
Al 0.500 0.248 0.248
O 0.000 0.382 0.938
O 0.000 0.938 0.382
O 0.500 0.085 0.643
O 0.500 0.643 0.085

For the magnetization, the calculation gives 0.0 μB per cell. The calculated volume is 75.5 Å³ per cell.

***

Model x:
Material: MgAl2O4
Method: DFT, PBE-GGA
State: relaxed

Lattice parameters (Å, degrees): 5.775 5.775 33.209 94.96 94.96 59.93
Fractional positions:
Mg 0.000 0.500 0.500
Mg 0.054 0.054 0.161
Mg 0.089 0.089 0.267
Mg 0.194 0.194 0.587
Mg 0.232 0.232 0.696
Mg 0.339 0.339 0.018
Mg 0.375 0.375 0.125
Mg 0.500 0.000 0.500
Mg 0.625 0.625 0.875
Mg 0.661 0.661 0.982
Mg 0.768 0.768 0.304
Mg 0.806 0.806 0.413
Mg 0.911 0.911 0.733
Mg 0.946 0.946 0.839
Al 0.000 0.000 0.000
Al 0.000 0.000 0.500
Al 0.071 0.572 0.214
Al 0.142 0.142 0.427
Al 0.143 0.143 0.929
Al 0.143 0.643 0.929
Al 0.211 0.715 0.643
Al 0.284 0.284 0.357
Al 0.285 0.789 0.357
Al 0.286 0.286 0.857
Al 0.357 0.857 0.071
Al 0.428 0.428 0.786
Al 0.428 0.929 0.786
Al 0.429 0.429 0.286
Al 0.478 0.478 0.445
Al 0.522 0.522 0.555
Al 0.571 0.571 0.714
Al 0.572 0.071 0.214
Al 0.572 0.572 0.214
Al 0.643 0.143 0.929
Al 0.714 0.714 0.143
Al 0.715 0.211 0.643
Al 0.716 0.716 0.643
Al 0.789 0.285 0.357
Al 0.857 0.357 0.071
Al 0.857 0.857 0.071
Al 0.858 0.858 0.573
Al 0.929 0.428 0.786
O 0.001 0.447 0.895
O 0.019 0.019 0.611
O 0.022 0.570 0.610
O 0.034 0.034 0.101
O 0.110 0.110 0.326
O 0.124 0.570 0.819
O 0.125 0.125 0.819
O 0.147 0.589 0.324
O 0.161 0.161 0.038
O 0.161 0.715 0.038
O 0.164 0.164 0.529
O 0.168 0.695 0.539
O 0.252 0.252 0.755
O 0.267 0.713 0.248
O 0.268 0.268 0.248
O 0.285 0.839 0.962
O 0.287 0.733 0.752
O 0.305 0.832 0.461
O 0.311 0.311 0.459
O 0.319 0.319 0.958
O 0.395 0.395 0.185
O 0.411 0.853 0.676
O 0.412 0.412 0.676
O 0.430 0.876 0.181
O 0.430 0.978 0.390
O 0.447 0.001 0.895
O 0.447 0.447 0.895
O 0.463 0.463 0.389
O 0.537 0.537 0.611
O 0.553 0.553 0.105
O 0.553 0.999 0.105
O 0.570 0.022 0.610
O 0.570 0.124 0.819
O 0.588 0.588 0.324
O 0.589 0.147 0.324
O 0.605 0.605 0.815
O 0.681 0.681 0.042
O 0.689 0.689 0.541
O 0.695 0.168 0.539
O 0.713 0.267 0.248
O 0.715 0.161 0.038
O 0.732 0.732 0.752
O 0.733 0.287 0.752
O 0.748 0.748 0.245
O 0.832 0.305 0.461
O 0.836 0.836 0.471
O 0.839 0.285 0.962
O 0.839 0.839 0.962
O 0.853 0.411 0.676
O 0.875 0.875 0.181
O 0.876 0.430 0.181
O 0.890 0.890 0.674
O 0.966 0.966 0.899
O 0.978 0.430 0.390
O 0.981 0.981 0.389
O 0.999 0.553 0.105

For the magnetization, the calculation gives 0.0 μB per cell. The calculated volume is 953.8 Å³ per cell.

***

Which one is most stable, and which one is least stable? model x is the most stable of them, while model w is the least stable.

***

Model w:
Material: YMg6NbO8
Method: DFT, PBE-GGA
State: relaxed

Lattice parameters (Å, degrees): 4.487 4.487 8.985 90.00 90.00 90.00
Fractional positions:
Y 0.000 0.000 0.000
Mg 0.000 0.500 0.263
Mg 0.000 0.500 0.737
Mg 0.500 0.000 0.263
Mg 0.500 0.000 0.737
Mg 0.500 0.500 0.000
Mg 0.500 0.500 0.500
Nb 0.000 0.000 0.500
O 0.000 0.000 0.249
O 0.000 0.000 0.751
O 0.000 0.500 0.000
O 0.000 0.500 0.500
O 0.500 0.000 0.000
O 0.500 0.000 0.500
O 0.500 0.500 0.250
O 0.500 0.500 0.750

For the magnetization, the calculation gives 2.6 μB per cell. The calculated volume is 180.9 Å³ per cell.

***

Model x:
Material: YMg6NbO8
Method: DFT, PBE-GGA
State: relaxed

Lattice parameters (Å, degrees): 4.421 4.421 8.899 90.00 90.00 90.00
Fractional positions:
Y 0.000 0.000 0.000
Mg 0.000 0.000 0.500
Mg 0.000 0.500 0.264
Mg 0.000 0.500 0.736
Mg 0.500 0.000 0.264
Mg 0.500 0.000 0.736
Mg 0.500 0.500 0.500
Nb 0.500 0.500 0.000
O 0.000 0.000 0.265
O 0.000 0.000 0.735
O 0.000 0.500 0.000
O 0.000 0.500 0.500
O 0.500 0.000 0.000
O 0.500 0.000 0.500
O 0.500 0.500 0.267
O 0.500 0.500 0.733

For the magnetization, the calculation gives 0.0 μB per cell. The calculated volume is 174.0 Å³ per cell.

***

Which one is most stable, and which one is least stable? model x is the most stable of them, while model w is the least stable.

***

Model w:
Material: LiTiP4O12
Method: DFT, PBE-GGA
State: relaxed

Lattice parameters (Å, degrees): 5.155 13.827 7.133 90.00 94.60 90.00
Fractional positions:
Li 0.076 0.000 0.116
Li 0.924 0.500 0.884
Ti 0.009 0.223 0.512
Ti 0.991 0.723 0.488
P 0.278 0.809 0.888
P 0.361 0.159 0.908
P 0.464 0.583 0.445
P 0.485 0.365 0.457
P 0.515 0.865 0.543
P 0.536 0.083 0.555
P 0.639 0.659 0.092
P 0.722 0.309 0.112
O 0.113 0.740 0.763
O 0.130 0.197 0.786
O 0.147 0.889 0.982
O 0.191 0.590 0.504
O 0.210 0.354 0.511
O 0.308 0.806 0.436
O 0.311 0.101 0.078
O 0.334 0.149 0.462
O 0.427 0.976 0.512
O 0.448 0.749 0.046
O 0.460 0.593 0.220
O 0.491 0.350 0.234
O 0.509 0.850 0.766
O 0.540 0.093 0.780
O 0.552 0.249 0.954
O 0.573 0.476 0.488
O 0.666 0.649 0.538
O 0.689 0.601 0.922
O 0.692 0.306 0.564
O 0.790 0.854 0.489
O 0.809 0.090 0.496
O 0.853 0.389 0.018
O 0.870 0.697 0.214
O 0.887 0.240 0.237

For the magnetization, the calculation gives 2.0 μB per cell. The calculated volume is 506.8 Å³ per cell.

***

Model x:
Material: LiTiP4O12
Method: DFT, PBE-GGA
State: relaxed

Lattice parameters (Å, degrees): 8.599 8.599 9.519 119.95 119.95 50.20
Fractional positions:
Li 0.195 0.805 0.750
Li 0.805 0.195 0.250
Ti 0.348 0.652 0.250
Ti 0.652 0.348 0.750
P 0.070 0.194 0.630
P 0.194 0.070 0.130
P 0.202 0.517 0.826
P 0.483 0.798 0.674
P 0.517 0.202 0.326
P 0.798 0.483 0.174
P 0.806 0.930 0.870
P 0.930 0.806 0.370
O 0.015 0.276 0.225
O 0.027 0.112 0.444
O 0.100 0.690 0.286
O 0.112 0.027 0.944
O 0.162 0.337 0.682
O 0.245 0.516 0.999
O 0.276 0.015 0.725
O 0.310 0.900 0.214
O 0.337 0.162 0.182
O 0.360 0.512 0.792
O 0.484 0.755 0.501
O 0.488 0.640 0.708
O 0.512 0.360 0.292
O 0.516 0.245 0.499
O 0.640 0.488 0.208
O 0.663 0.838 0.818
O 0.690 0.100 0.786
O 0.724 0.985 0.275
O 0.755 0.484 0.001
O 0.838 0.663 0.318
O 0.888 0.973 0.056
O 0.900 0.310 0.714
O 0.973 0.888 0.556
O 0.985 0.724 0.775

For the magnetization, the calculation gives 2.0 μB per cell. The calculated volume is 451.2 Å³ per cell.

***

Which one is most stable, and which one is least stable? model w is the most stable of them, while model x is the least stable.

***

Model w:
Material: V3Cd
Method: DFT, PBE-GGA
State: relaxed

Lattice parameters (Å, degrees): 3.933 3.933 3.933 90.00 90.00 90.00
Fractional positions:
V 0.000 0.000 0.500
V 0.000 0.500 0.000
V 0.500 0.000 0.000
Cd 0.500 0.500 0.500

For the magnetization, the calculation gives 1.4 μB per cell. The calculated volume is 60.8 Å³ per cell.

***

Model x:
Material: V3Cd
Method: DFT, PBE-GGA
State: relaxed

Lattice parameters (Å, degrees): 5.656 5.656 4.485 90.00 90.00 120.00
Fractional positions:
V 0.151 0.302 0.250
V 0.151 0.849 0.250
V 0.302 0.151 0.750
V 0.698 0.849 0.250
V 0.849 0.151 0.750
V 0.849 0.698 0.750
Cd 0.333 0.667 0.750
Cd 0.667 0.333 0.250

For the magnetization, the calculation gives 2.7 μB per cell. The calculated volume is 124.3 Å³ per cell.

***

Which one is most stable, and which one is least stable? model x is the most stable of them, while model w is the least stable.

***

Model w:
Material: Si
Method: DFT, PBE-GGA
State: relaxed

Lattice parameters (Å, degrees): 6.887 6.887 2.464 90.00 90.00 120.00
Fractional positions:
Si 0.145 0.719 0.000
Si 0.281 0.427 0.000
Si 0.427 0.145 0.000
Si 0.573 0.855 0.000
Si 0.719 0.573 0.000
Si 0.855 0.281 0.000

For the magnetization, the calculation gives 0.0 μB per cell. The calculated volume is 101.2 Å³ per cell.

***

Model x:
Material: Si
Method: DFT, PBE-GGA
State: relaxed

Lattice parameters (Å, degrees): 10.411 10.411 17.056 90.00 90.00 120.00
Fractional positions:
Si 0.000 0.000 0.182
Si 0.000 0.000 0.318
Si 0.000 0.000 0.682
Si 0.000 0.000 0.818
Si 0.050 0.330 0.065
Si 0.050 0.330 0.435
Si 0.050 0.719 0.065
Si 0.050 0.719 0.435
Si 0.069 0.535 0.750
Si 0.084 0.542 0.135
Si 0.084 0.542 0.365
Si 0.123 0.247 0.639
Si 0.123 0.247 0.861
Si 0.123 0.877 0.639
Si 0.123 0.877 0.861
Si 0.202 0.404 0.750
Si 0.202 0.798 0.750
Si 0.247 0.123 0.139
Si 0.247 0.123 0.361
Si 0.281 0.330 0.065
Si 0.281 0.330 0.435
Si 0.281 0.950 0.065
Si 0.281 0.950 0.435
Si 0.330 0.050 0.565
Si 0.330 0.050 0.935
Si 0.330 0.281 0.565
Si 0.330 0.281 0.935
Si 0.333 0.667 0.180
Si 0.333 0.667 0.320
Si 0.404 0.202 0.250
Si 0.458 0.542 0.135
Si 0.458 0.542 0.365
Si 0.458 0.916 0.135
Si 0.458 0.916 0.365
Si 0.465 0.535 0.750
Si 0.465 0.931 0.750
Si 0.535 0.069 0.250
Si 0.535 0.465 0.250
Si 0.542 0.084 0.635
Si 0.542 0.084 0.865
Si 0.542 0.458 0.635
Si 0.542 0.458 0.865
Si 0.596 0.798 0.750
Si 0.667 0.333 0.680
Si 0.667 0.333 0.820
Si 0.670 0.719 0.065
Si 0.670 0.719 0.435
Si 0.670 0.950 0.065
Si 0.670 0.950 0.435
Si 0.719 0.050 0.565
Si 0.719 0.050 0.935
Si 0.719 0.670 0.565
Si 0.719 0.670 0.935
Si 0.753 0.877 0.639
Si 0.753 0.877 0.861
Si 0.798 0.202 0.250
Si 0.798 0.596 0.250
Si 0.877 0.123 0.139
Si 0.877 0.123 0.361
Si 0.877 0.753 0.139
Si 0.877 0.753 0.361
Si 0.916 0.458 0.635
Si 0.916 0.458 0.865
Si 0.931 0.465 0.250
Si 0.950 0.281 0.565
Si 0.950 0.281 0.935
Si 0.950 0.670 0.565
Si 0.950 0.670 0.935

The calculated volume is 1601.1 Å³ per cell.

***

Which one is most stable, and which one is least stable? model x is the most stable of them, while model w is the least stable.

***

Model w:
Material: Bi2O5
Method: DFT, PBE-GGA
State: relaxed

Lattice parameters (Å, degrees): 5.950 5.950 10.192 90.00 90.00 138.03
Fractional positions:
Bi 0.136 0.864 0.562
Bi 0.136 0.864 0.938
Bi 0.864 0.136 0.062
Bi 0.864 0.136 0.438
O 0.046 0.954 0.125
O 0.046 0.954 0.375
O 0.214 0.786 0.750
O 0.314 0.686 0.036
O 0.314 0.686 0.464
O 0.686 0.314 0.536
O 0.686 0.314 0.964
O 0.786 0.214 0.250
O 0.954 0.046 0.625
O 0.954 0.046 0.875

For the magnetization, the calculation gives 0.0 μB per cell. The calculated volume is 241.3 Å³ per cell.

***

Model x:
Material: Bi2O5
Method: DFT, PBE-GGA
State: relaxed

Lattice parameters (Å, degrees): 5.536 10.504 9.099 90.00 119.20 90.00
Fractional positions:
Bi 0.002 0.110 0.127
Bi 0.002 0.390 0.627
Bi 0.214 0.597 0.967
Bi 0.214 0.903 0.467
Bi 0.786 0.097 0.533
Bi 0.786 0.403 0.033
Bi 0.998 0.610 0.373
Bi 0.998 0.890 0.873
O 0.065 0.565 0.146
O 0.065 0.935 0.646
O 0.133 0.078 0.940
O 0.133 0.422 0.440
O 0.165 0.206 0.679
O 0.165 0.294 0.179
O 0.379 0.719 0.496
O 0.379 0.781 0.996
O 0.390 0.014 0.332
O 0.390 0.486 0.832
O 0.610 0.514 0.168
O 0.610 0.986 0.668
O 0.621 0.219 0.004
O 0.621 0.281 0.504
O 0.835 0.706 0.821
O 0.835 0.794 0.321
O 0.867 0.578 0.560
O 0.867 0.922 0.060
O 0.935 0.065 0.354
O 0.935 0.435 0.854

For the magnetization, the calculation gives 0.0 μB per cell. The calculated volume is 461.9 Å³ per cell.

***

Which one is most stable, and which one is least stable? model w is the most stable of them, while model x is the least stable.